(A)
Crystalline K3Mo4H6O16F at its relaxed geometry. Source: the Materials Project database, functional PBE+U. Values from VASP.

Results
Spin magnetization (μB per cell): 0.00

Cell and atoms, written as Quantum ESPRESSO input:
```
&SYSTEM
  ibrav = 0, nat = 60, ntyp = 5
/
ATOMIC_SPECIES
K 39.10 K.upf
Mo 95.94 Mo.upf
H 1.01 H.upf
O 16.00 O.upf
F 19.00 F.upf
ATOMIC_POSITIONS crystal
K 0.858 0.181 0.530
K 0.142 0.819 0.470
K 0.897 0.319 0.169
K 0.103 0.681 0.831
K 0.473 0.084 0.821
K 0.527 0.916 0.179
Mo 0.521 0.725 0.511
Mo 0.479 0.275 0.489
Mo 0.754 0.857 0.823
Mo 0.246 0.143 0.177
Mo 0.212 0.395 0.503
Mo 0.788 0.605 0.497
Mo 0.439 0.594 0.793
Mo 0.561 0.406 0.207
H 0.826 0.911 0.300
H 0.174 0.089 0.700
H 0.815 0.952 0.161
H 0.185 0.048 0.839
H 0.739 0.299 0.915
H 0.261 0.701 0.085
H 0.750 0.479 0.875
H 0.250 0.521 0.125
H 0.975 0.688 0.106
H 0.025 0.312 0.894
H 0.823 0.630 0.108
H 0.177 0.370 0.892
O 0.588 0.906 0.446
O 0.412 0.094 0.554
O 0.739 0.002 0.950
O 0.261 0.998 0.050
O 0.911 0.825 0.882
O 0.089 0.175 0.118
O 0.140 0.208 0.563
O 0.860 0.792 0.437
O 0.070 0.437 0.408
O 0.930 0.563 0.592
O 0.394 0.396 0.845
O 0.606 0.604 0.155
O 0.419 0.749 0.911
O 0.581 0.251 0.089
O 0.340 0.658 0.440
O 0.660 0.342 0.560
O 0.639 0.638 0.849
O 0.361 0.362 0.151
O 0.266 0.572 0.663
O 0.734 0.428 0.337
O 0.719 0.710 0.624
O 0.281 0.290 0.376
O 0.536 0.812 0.691
O 0.464 0.188 0.309
O 0.440 0.457 0.597
O 0.560 0.543 0.403
O 0.806 0.996 0.246
O 0.194 0.004 0.754
O 0.805 0.404 0.904
O 0.195 0.596 0.096
O 0.918 0.673 0.165
O 0.082 0.327 0.835
F 0.803 0.044 0.726
F 0.197 0.956 0.274
CELL_PARAMETERS angstrom
10.719 0.000 0.000
-2.563 10.290 0.000
-0.933 -2.600 7.640
```


(B)
Crystalline K3Mo4H6O16F at its relaxed geometry. Source: the Materials Project database, functional PBE+U. Values from VASP.

Results
Spin magnetization (μB per cell): 0.00

Cell and atoms, written as Quantum ESPRESSO input:
```
&SYSTEM
  ibrav = 0, nat = 60, ntyp = 5
/
ATOMIC_SPECIES
K 39.10 K.upf
Mo 95.94 Mo.upf
H 1.01 H.upf
O 16.00 O.upf
F 19.00 F.upf
ATOMIC_POSITIONS crystal
K 0.819 0.142 0.470
K 0.181 0.858 0.530
K 0.681 0.103 0.831
K 0.319 0.897 0.169
K 0.916 0.527 0.179
K 0.084 0.473 0.821
Mo 0.275 0.479 0.489
Mo 0.725 0.521 0.511
Mo 0.143 0.246 0.177
Mo 0.857 0.754 0.823
Mo 0.605 0.788 0.497
Mo 0.395 0.212 0.503
Mo 0.406 0.561 0.207
Mo 0.594 0.439 0.793
H 0.089 0.174 0.700
H 0.911 0.826 0.300
H 0.048 0.185 0.839
H 0.952 0.815 0.161
H 0.701 0.261 0.085
H 0.299 0.739 0.915
H 0.521 0.250 0.125
H 0.479 0.750 0.875
H 0.312 0.025 0.894
H 0.688 0.975 0.106
H 0.370 0.177 0.892
H 0.630 0.823 0.108
O 0.094 0.412 0.554
O 0.906 0.588 0.446
O 0.998 0.261 0.050
O 0.002 0.739 0.950
O 0.175 0.089 0.118
O 0.825 0.911 0.882
O 0.792 0.860 0.437
O 0.208 0.140 0.563
O 0.563 0.930 0.592
O 0.437 0.070 0.408
O 0.604 0.606 0.155
O 0.396 0.394 0.845
O 0.251 0.581 0.089
O 0.749 0.419 0.911
O 0.342 0.660 0.560
O 0.658 0.340 0.440
O 0.362 0.361 0.151
O 0.638 0.639 0.849
O 0.428 0.734 0.337
O 0.572 0.266 0.663
O 0.290 0.281 0.376
O 0.710 0.719 0.624
O 0.188 0.464 0.309
O 0.812 0.536 0.691
O 0.543 0.560 0.403
O 0.457 0.440 0.597
O 0.004 0.194 0.754
O 0.996 0.806 0.246
O 0.596 0.195 0.096
O 0.404 0.805 0.904
O 0.327 0.082 0.835
O 0.673 0.918 0.165
F 0.956 0.197 0.274
F 0.044 0.803 0.726
CELL_PARAMETERS angstrom
-4.750 -6.449 1.360
2.882 -0.494 -10.193
8.576 -3.648 5.296
```


The computed energies, referenced to the most stable structure and given in kJ/mol of atoms, are (A) 90.8; (B) 0.0.


(A)
Crystalline KH8WN2O3F3 at its relaxed geometry. Source: the Materials Project database, functional PBE+U. Values from VASP.

Results
Spin magnetization (μB per cell): 0.00

Cell and atoms, written as Quantum ESPRESSO input:
```
&SYSTEM
  ibrav = 0, nat = 18, ntyp = 6
/
ATOMIC_SPECIES
K 39.10 K.upf
H 1.01 H.upf
W 183.84 W.upf
N 14.01 N.upf
O 16.00 O.upf
F 19.00 F.upf
ATOMIC_POSITIONS crystal
K 0.000 0.500 0.500
H 0.368 0.179 0.442
H 0.619 0.169 0.194
H 0.632 0.442 0.179
H 0.381 0.194 0.169
H 0.619 0.813 0.550
H 0.368 0.809 0.811
H 0.381 0.550 0.813
H 0.632 0.811 0.809
W 0.000 0.987 0.987
N 0.500 0.246 0.246
N 0.500 0.746 0.746
O 0.398 0.222 0.825
O 0.000 0.791 0.791
O 0.602 0.825 0.222
F 0.000 0.222 0.777
F 0.000 0.219 0.219
F 0.000 0.777 0.222
CELL_PARAMETERS angstrom
1.055 5.748 2.693
-6.061 -1.850 -1.146
-1.650 0.917 6.157
```


(B)
Crystalline KH8WN2O3F3 at its relaxed geometry. Source: the Materials Project database, functional PBE+U. Values from VASP.

Results
Spin magnetization (μB per cell): 0.00

Cell and atoms, written as Quantum ESPRESSO input:
```
&SYSTEM
  ibrav = 0, nat = 36, ntyp = 6
/
ATOMIC_SPECIES
K 39.10 K.upf
H 1.01 H.upf
W 183.84 W.upf
N 14.01 N.upf
O 16.00 O.upf
F 19.00 F.upf
ATOMIC_POSITIONS crystal
K 0.258 0.502 0.500
K 0.742 0.502 0.000
H 0.564 0.775 0.219
H 0.436 0.775 0.719
H 0.926 0.243 0.779
H 0.074 0.243 0.279
H 0.819 0.788 0.152
H 0.181 0.788 0.652
H 0.669 0.222 0.842
H 0.331 0.222 0.342
H 0.783 0.805 0.296
H 0.217 0.805 0.796
H 0.723 0.133 0.728
H 0.277 0.133 0.228
H 0.746 0.533 0.304
H 0.254 0.533 0.804
H 0.732 0.438 0.672
H 0.268 0.438 0.172
W 0.778 0.993 0.504
W 0.222 0.993 0.004
N 0.729 0.727 0.243
N 0.271 0.727 0.743
N 0.761 0.257 0.756
N 0.239 0.257 0.256
O 0.687 0.830 0.693
O 0.313 0.830 0.193
O 0.805 0.236 0.309
O 0.195 0.236 0.809
O 0.007 0.811 0.525
O 0.993 0.811 0.025
F 0.930 0.231 0.535
F 0.070 0.231 0.035
F 0.589 0.777 0.473
F 0.411 0.777 0.973
F 0.490 0.199 0.470
F 0.510 0.199 0.970
CELL_PARAMETERS angstrom
-4.469 -0.604 -4.468
1.110 -6.346 -0.253
-5.402 -7.602 6.430
```


The computed energies, referenced to the most stable structure and given in kJ/mol of atoms, are (A) 2.6; (B) 0.0.


(A)
Crystalline KH8WN2F6 at its relaxed geometry. Source: the Materials Project database, functional PBE+U. Values from VASP.

Results
Spin magnetization (μB per cell): 3.00

Cell and atoms, written as Quantum ESPRESSO input:
```
&SYSTEM
  ibrav = 0, nat = 18, ntyp = 5
/
ATOMIC_SPECIES
K 39.10 K.upf
H 1.01 H.upf
W 183.84 W.upf
N 14.01 N.upf
F 19.00 F.upf
ATOMIC_POSITIONS crystal
K 0.500 0.500 0.500
H 0.814 0.814 0.814
H 0.186 0.186 0.186
H 0.558 0.814 0.814
H 0.814 0.558 0.814
H 0.442 0.186 0.186
H 0.186 0.442 0.186
H 0.814 0.814 0.558
H 0.186 0.186 0.442
W 0.000 0.000 0.000
N 0.750 0.750 0.750
N 0.250 0.250 0.250
F 0.775 0.775 0.225
F 0.225 0.225 0.775
F 0.775 0.225 0.775
F 0.225 0.775 0.225
F 0.225 0.775 0.775
F 0.775 0.225 0.225
CELL_PARAMETERS angstrom
6.455 0.586 1.242
4.143 1.751 -4.829
2.817 5.967 0.072
```


(B)
Crystalline KH8WN2F6 at its relaxed geometry. Source: the Materials Project database, functional PBE+U. Values from VASP.

Results
Spin magnetization (μB per cell): 6.00

Cell and atoms, written as Quantum ESPRESSO input:
```
&SYSTEM
  ibrav = 0, nat = 36, ntyp = 5
/
ATOMIC_SPECIES
K 39.10 K.upf
H 1.01 H.upf
W 183.84 W.upf
N 14.01 N.upf
F 19.00 F.upf
ATOMIC_POSITIONS crystal
K 0.500 0.500 0.000
K 0.000 0.500 0.500
H 0.029 0.578 0.769
H 0.971 0.422 0.231
H 0.529 0.422 0.731
H 0.471 0.578 0.269
H 0.039 0.736 0.847
H 0.961 0.264 0.153
H 0.539 0.264 0.653
H 0.461 0.736 0.347
H 0.071 0.891 0.669
H 0.929 0.109 0.331
H 0.571 0.109 0.831
H 0.429 0.891 0.169
H 0.833 0.766 0.743
H 0.167 0.234 0.257
H 0.333 0.234 0.757
H 0.667 0.766 0.243
W 0.500 0.000 0.500
W 0.000 0.000 0.000
N 0.992 0.744 0.757
N 0.008 0.256 0.243
N 0.492 0.256 0.743
N 0.508 0.744 0.257
F 0.558 0.727 0.717
F 0.442 0.273 0.283
F 0.058 0.273 0.783
F 0.942 0.727 0.217
F 0.348 0.732 0.479
F 0.652 0.268 0.521
F 0.848 0.268 0.021
F 0.152 0.732 0.979
F 0.784 0.888 0.457
F 0.216 0.112 0.543
F 0.284 0.112 0.043
F 0.716 0.888 0.957
CELL_PARAMETERS angstrom
-3.650 -0.595 5.281
-2.756 -5.312 -2.503
4.006 -10.625 1.573
```


The computed energies, referenced to the most stable structure and given in kJ/mol of atoms, are (A) 5.2; (B) 0.0.


(A)
Crystalline Li2VH2OF5 at its relaxed geometry. Source: the Materials Project database, functional PBE+U. Values from VASP.

Results
Spin magnetization (μB per cell): 0.00

Cell and atoms, written as Quantum ESPRESSO input:
```
&SYSTEM
  ibrav = 0, nat = 44, ntyp = 5
/
ATOMIC_SPECIES
Li 6.94 Li.upf
V 50.94 V.upf
H 1.01 H.upf
O 16.00 O.upf
F 19.00 F.upf
ATOMIC_POSITIONS crystal
Li 0.280 0.869 0.129
Li 0.280 0.369 0.629
Li 0.259 0.609 0.889
Li 0.260 0.109 0.389
Li 0.740 0.391 0.111
Li 0.740 0.891 0.611
Li 0.720 0.131 0.871
Li 0.720 0.631 0.371
V 0.771 0.261 0.489
V 0.229 0.239 0.011
V 0.771 0.761 0.989
V 0.229 0.739 0.511
H 0.141 0.526 0.315
H 0.141 0.026 0.815
H 0.789 0.600 0.741
H 0.789 0.100 0.241
H 0.211 0.400 0.259
H 0.211 0.900 0.759
H 0.859 0.474 0.685
H 0.859 0.974 0.185
O 0.086 0.418 0.332
O 0.086 0.918 0.832
O 0.914 0.582 0.668
O 0.914 0.082 0.168
F 0.475 0.613 0.137
F 0.475 0.113 0.637
F 0.525 0.387 0.862
F 0.525 0.887 0.362
F 0.596 0.909 0.962
F 0.596 0.409 0.462
F 0.053 0.388 0.984
F 0.053 0.888 0.484
F 0.947 0.612 0.016
F 0.947 0.112 0.516
F 0.404 0.091 0.038
F 0.404 0.591 0.538
F 0.657 0.708 0.818
F 0.657 0.208 0.318
F 0.110 0.185 0.842
F 0.110 0.684 0.342
F 0.890 0.815 0.158
F 0.889 0.315 0.658
F 0.343 0.292 0.182
F 0.343 0.792 0.682
CELL_PARAMETERS angstrom
4.784 3.169 0.074
-5.543 3.170 7.764
4.025 -3.167 7.909
```


(B)
Crystalline Li2VH2OF5 at its relaxed geometry. Source: the Materials Project database, functional PBE+U. Values from VASP.

Results
Spin magnetization (μB per cell): 4.00

Cell and atoms, written as Quantum ESPRESSO input:
```
&SYSTEM
  ibrav = 0, nat = 22, ntyp = 5
/
ATOMIC_SPECIES
Li 6.94 Li.upf
V 50.94 V.upf
H 1.01 H.upf
O 16.00 O.upf
F 19.00 F.upf
ATOMIC_POSITIONS crystal
Li 0.733 0.847 0.444
Li 0.839 0.723 0.950
Li 0.274 0.280 0.001
Li 0.271 0.206 0.533
V 0.774 0.235 0.750
V 0.238 0.772 0.246
H 0.205 0.864 0.840
H 0.128 0.784 0.663
H 0.864 0.203 0.336
H 0.788 0.125 0.161
O 0.069 0.895 0.761
O 0.885 0.061 0.264
F 0.400 0.960 0.368
F 0.299 0.934 0.029
F 0.976 0.397 0.854
F 0.102 0.675 0.469
F 0.482 0.520 0.766
F 0.539 0.498 0.239
F 0.918 0.301 0.527
F 0.078 0.586 0.119
F 0.671 0.102 0.973
F 0.589 0.060 0.634
CELL_PARAMETERS angstrom
-4.375 -2.512 -2.833
-3.766 -2.565 3.611
-4.720 6.257 0.429
```


The computed energies, referenced to the most stable structure and given in kJ/mol of atoms, are (A) 0.0; (B) 0.5.


(A)
Crystalline VH6O3F3 at its relaxed geometry. Source: the Materials Project database, functional PBE+U. Values from VASP.

Results
Spin magnetization (μB per cell): 2.00

Cell and atoms, written as Quantum ESPRESSO input:
```
&SYSTEM
  ibrav = 0, nat = 13, ntyp = 4
/
ATOMIC_SPECIES
V 50.94 V.upf
H 1.01 H.upf
O 16.00 O.upf
F 19.00 F.upf
ATOMIC_POSITIONS crystal
V 0.930 0.141 0.001
H 0.505 0.839 0.941
H 0.056 0.893 0.555
H 0.449 0.336 0.506
H 0.495 0.336 0.440
H 0.566 0.900 0.064
H 0.946 0.829 0.493
O 0.828 0.322 0.000
O 0.114 0.540 0.896
O 0.211 0.639 0.099
F 0.753 0.908 0.762
F 0.157 0.183 0.997
F 0.990 0.148 0.245
CELL_PARAMETERS angstrom
7.556 0.000 0.000
-0.103 7.642 0.000
-3.599 -3.731 6.066
```


(B)
Crystalline VH6O3F3 at its relaxed geometry. Source: the Materials Project database, functional PBE+U. Values from VASP.

Results
Spin magnetization (μB per cell): 0.00

Cell and atoms, written as Quantum ESPRESSO input:
```
&SYSTEM
  ibrav = 0, nat = 52, ntyp = 4
/
ATOMIC_SPECIES
V 50.94 V.upf
H 1.01 H.upf
O 16.00 O.upf
F 19.00 F.upf
ATOMIC_POSITIONS crystal
V 0.001 0.001 0.500
V 0.001 0.001 0.751
V 0.002 0.003 0.000
V 0.001 0.001 0.251
H 0.551 0.778 0.046
H 0.549 0.777 0.296
H 0.549 0.777 0.546
H 0.549 0.777 0.796
H 0.185 0.550 0.195
H 0.184 0.550 0.444
H 0.185 0.550 0.695
H 0.185 0.551 0.944
H 0.778 0.551 0.046
H 0.777 0.549 0.296
H 0.777 0.549 0.546
H 0.777 0.549 0.796
H 0.550 0.185 0.195
H 0.550 0.184 0.444
H 0.550 0.185 0.695
H 0.551 0.185 0.944
H 0.185 0.777 0.138
H 0.184 0.778 0.387
H 0.184 0.777 0.638
H 0.185 0.780 0.888
H 0.777 0.185 0.138
H 0.778 0.184 0.387
H 0.777 0.184 0.638
H 0.780 0.185 0.888
O 0.129 0.730 0.183
O 0.127 0.730 0.432
O 0.129 0.731 0.683
O 0.131 0.733 0.933
O 0.732 0.732 0.033
O 0.731 0.731 0.283
O 0.730 0.730 0.532
O 0.731 0.731 0.783
O 0.730 0.129 0.183
O 0.730 0.127 0.432
O 0.731 0.129 0.683
O 0.732 0.130 0.933
F 0.263 0.874 0.066
F 0.263 0.873 0.316
F 0.261 0.871 0.565
F 0.263 0.873 0.816
F 0.263 0.263 0.219
F 0.262 0.262 0.467
F 0.263 0.263 0.719
F 0.262 0.262 0.967
F 0.874 0.263 0.066
F 0.873 0.263 0.316
F 0.871 0.261 0.565
F 0.874 0.263 0.816
CELL_PARAMETERS angstrom
3.630 2.093 2.836
-3.631 2.093 2.836
0.003 -16.752 11.350
```


The computed energies, referenced to the most stable structure and given in kJ/mol of atoms, are (A) 84.2; (B) 0.0.